GGA+U SrFe5Bi4O15, relaxed; energy of formation = -1721 meV per atom; symmetry = P1 (1); total moment = 24.00 Bohr magnetons per cell
1.0
5.7598 0.0000 0.0000
-0.1331 6.9152 0.0000
-2.6602 -2.3275 8.1521
Sr Fe Bi O
1 5 4 15
direct
0.0000 0.0000 0.0000 Sr
0.1893 0.2988 0.3856 Fe
0.3811 0.1000 0.7932 Fe
0.5653 0.9068 0.1838 Fe
0.7822 0.7029 0.5890 Fe
0.9909 0.5101 0.9917 Fe
0.2734 0.7954 0.4134 Bi
0.4654 0.5855 0.8265 Bi
0.6658 0.3878 0.2195 Bi
0.8687 0.1890 0.6088 Bi
0.0298 0.3993 0.1797 O
0.0440 0.9247 0.6791 O
0.1350 0.2994 0.8653 O
0.2396 0.2101 0.5853 O
0.2596 0.7128 0.0807 O
0.3560 0.1020 0.2778 O
0.4428 0.5259 0.4749 O
0.4730 0.0067 0.9836 O
0.5425 0.9069 0.6647 O
0.6404 0.8068 0.3813 O
0.6472 0.3209 0.8806 O
0.7453 0.7040 0.0716 O
0.8306 0.6132 0.7858 O
0.8466 0.1200 0.2809 O
0.9376 0.4975 0.4696 O